Entry 1:
{
  "formula": "CsMoP2HO9",
  "functional": "PBE with a Hubbard U",
  "state": "relaxed",
  "lattice": [[14.662, 0.000, 0.000], [0.000, 6.379, 0.000], [0.000, 1.795, 9.968]],
  "species": ["O", "O", "O", "H", "O", "P", "Cs", "O", "O", "P", "Mo", "O", "O", "O", "O", "P", "O", "P", "Cs", "O", "O", "O", "Cs", "Mo", "O", "P", "P", "O", "O", "O", "O", "O", "O", "O", "O", "O", "O", "Mo", "Cs", "O", "O", "O", "O", "O", "O", "O", "H", "O", "O", "P", "H", "O", "Mo", "O", "H", "P"],
  "fractional_positions": [[0.970, 0.615, 0.773], [0.816, 0.812, 0.779], [0.912, 0.659, 0.345], [0.266, 0.313, 0.599], [0.767, 0.602, 0.483], [0.127, 0.391, 0.515], [0.329, 0.814, 0.333], [0.532, 0.008, 0.220], [0.353, 0.739, 0.657], [0.092, 0.191, 0.283], [0.462, 0.704, 0.723], [0.532, 0.762, 0.585], [0.530, 0.615, 0.273], [0.233, 0.398, 0.517], [0.968, 0.762, 0.085], [0.908, 0.809, 0.717], [0.595, 0.405, 0.075], [0.408, 0.191, 0.783], [0.671, 0.186, 0.667], [0.032, 0.238, 0.915], [0.088, 0.341, 0.655], [0.853, 0.261, 0.843], [0.829, 0.186, 0.167], [0.962, 0.296, 0.777], [0.184, 0.188, 0.221], [0.592, 0.809, 0.217], [0.873, 0.609, 0.485], [0.468, 0.992, 0.780], [0.684, 0.812, 0.279], [0.647, 0.261, 0.343], [0.399, 0.190, 0.943], [0.601, 0.810, 0.057], [0.733, 0.602, 0.983], [0.316, 0.188, 0.721], [0.267, 0.398, 0.017], [0.405, 0.595, 0.925], [0.412, 0.341, 0.155], [0.038, 0.704, 0.223], [0.171, 0.814, 0.833], [0.968, 0.008, 0.720], [0.905, 0.405, 0.575], [0.470, 0.385, 0.727], [0.588, 0.659, 0.845], [0.899, 0.810, 0.557], [0.030, 0.385, 0.227], [0.147, 0.739, 0.157], [0.734, 0.687, 0.401], [0.101, 0.190, 0.443], [0.032, 0.992, 0.280], [0.373, 0.391, 0.015], [0.234, 0.313, 0.099], [0.095, 0.595, 0.425], [0.538, 0.296, 0.277], [0.468, 0.238, 0.415], [0.766, 0.687, 0.901], [0.627, 0.609, 0.985]],
  "final_energy_ev_per_cell": -375.94,
  "ef_kj_per_mol_atoms": -227
}

Entry 2:
{
  "formula": "Cs2NiH12S2O14",
  "functional": "PBE with a Hubbard U",
  "state": "relaxed",
  "lattice": [[12.870, 0.000, 0.000], [0.000, 6.434, 0.000], [0.000, 2.607, 8.918]],
  "species": ["O", "O", "O", "H", "H", "Cs", "O", "H", "H", "S", "H", "H", "O", "O", "O", "O", "H", "O", "H", "O", "H", "O", "O", "O", "H", "H", "O", "O", "H", "O", "H", "H", "H", "O", "H", "O", "O", "Cs", "H", "O", "S", "H", "S", "O", "O", "O", "H", "H", "H", "O", "O", "Cs", "H", "H", "O", "O", "Ni", "Ni", "O", "H", "Cs", "S"],
  "fractional_positions": [[0.240, 0.387, 0.418], [0.063, 0.291, 0.002], [0.760, 0.613, 0.582], [0.862, 0.693, 0.026], [0.059, 0.329, 0.098], [0.644, 0.351, 0.873], [0.892, 0.015, 0.171], [0.905, 0.927, 0.276], [0.181, 0.012, 0.851], [0.648, 0.741, 0.105], [0.095, 0.073, 0.724], [0.370, 0.916, 0.734], [0.418, 0.203, 0.032], [0.108, 0.985, 0.829], [0.888, 0.158, 0.843], [0.392, 0.985, 0.329], [0.941, 0.671, 0.902], [0.937, 0.709, 0.998], [0.138, 0.307, 0.974], [0.437, 0.291, 0.502], [0.441, 0.329, 0.598], [0.414, 0.396, 0.767], [0.612, 0.158, 0.343], [0.816, 0.942, 0.642], [0.098, 0.686, 0.207], [0.559, 0.671, 0.402], [0.388, 0.842, 0.657], [0.582, 0.797, 0.968], [0.362, 0.307, 0.474], [0.082, 0.203, 0.532], [0.595, 0.927, 0.776], [0.819, 0.988, 0.149], [0.630, 0.084, 0.266], [0.684, 0.942, 0.142], [0.402, 0.686, 0.707], [0.918, 0.797, 0.468], [0.914, 0.604, 0.733], [0.856, 0.351, 0.373], [0.681, 0.988, 0.649], [0.316, 0.058, 0.858], [0.148, 0.259, 0.395], [0.405, 0.073, 0.224], [0.852, 0.741, 0.605], [0.740, 0.613, 0.082], [0.260, 0.387, 0.918], [0.608, 0.015, 0.671], [0.130, 0.916, 0.234], [0.319, 0.012, 0.351], [0.638, 0.693, 0.526], [0.086, 0.396, 0.267], [0.586, 0.604, 0.233], [0.356, 0.649, 0.127], [0.598, 0.314, 0.293], [0.902, 0.314, 0.793], [0.184, 0.058, 0.358], [0.112, 0.842, 0.157], [0.500, 0.000, 0.500], [0.000, 0.000, 0.000], [0.563, 0.709, 0.498], [0.870, 0.084, 0.766], [0.144, 0.649, 0.627], [0.352, 0.259, 0.895]],
  "final_energy_ev_per_cell": -326.83,
  "polymorph_energy_kj_per_mol_fu": 0.0,
  "ef_kj_per_mol_atoms": -155,
  "magmom_total_mub_per_fu": 2.00
}

Entry 3:
{
  "formula": "Cs2NiH12S2O14",
  "functional": "PBE with a Hubbard U",
  "state": "relaxed",
  "lattice": [[13.781, 0.000, 0.000], [0.000, 6.824, 0.000], [0.000, 3.491, 9.203]],
  "species": ["H", "O", "O", "O", "O", "Cs", "Ni", "H", "Cs", "H", "H", "H", "Cs", "S", "O", "O", "H", "O", "H", "O", "H", "H", "H", "H", "O", "O", "H", "H", "O", "S", "H", "O", "O", "S", "H", "H", "O", "O", "O", "O", "O", "H", "O", "O", "O", "Ni", "H", "H", "S", "H", "O", "O", "H", "O", "O", "O", "O", "Cs", "H", "H", "H", "O"],
  "fractional_positions": [[0.932, 0.724, 0.829], [0.105, 0.890, 0.155], [0.395, 0.890, 0.655], [0.572, 0.748, 0.600], [0.072, 0.252, 0.900], [0.356, 0.621, 0.137], [0.000, 0.000, 0.000], [0.568, 0.724, 0.329], [0.144, 0.621, 0.637], [0.902, 0.040, 0.773], [0.167, 0.057, 0.833], [0.366, 0.064, 0.182], [0.856, 0.379, 0.363], [0.634, 0.739, 0.119], [0.151, 0.488, 0.293], [0.849, 0.512, 0.707], [0.598, 0.040, 0.273], [0.349, 0.488, 0.793], [0.333, 0.057, 0.333], [0.895, 0.110, 0.845], [0.106, 0.736, 0.209], [0.134, 0.064, 0.682], [0.894, 0.264, 0.791], [0.606, 0.264, 0.291], [0.948, 0.809, 0.725], [0.552, 0.809, 0.225], [0.866, 0.936, 0.318], [0.667, 0.943, 0.667], [0.620, 0.651, 0.505], [0.366, 0.261, 0.881], [0.833, 0.943, 0.167], [0.448, 0.191, 0.775], [0.428, 0.252, 0.400], [0.866, 0.739, 0.619], [0.098, 0.960, 0.227], [0.068, 0.276, 0.171], [0.651, 0.512, 0.207], [0.120, 0.349, 0.995], [0.821, 0.012, 0.237], [0.380, 0.349, 0.495], [0.052, 0.191, 0.275], [0.318, 0.273, 0.517], [0.571, 0.765, 0.989], [0.929, 0.765, 0.489], [0.321, 0.988, 0.263], [0.500, 0.000, 0.500], [0.402, 0.960, 0.727], [0.682, 0.727, 0.483], [0.134, 0.261, 0.381], [0.182, 0.273, 0.017], [0.071, 0.235, 0.511], [0.880, 0.651, 0.005], [0.394, 0.736, 0.709], [0.928, 0.748, 0.100], [0.605, 0.110, 0.345], [0.429, 0.235, 0.011], [0.179, 0.988, 0.763], [0.644, 0.379, 0.863], [0.634, 0.936, 0.818], [0.818, 0.727, 0.983], [0.432, 0.276, 0.671], [0.679, 0.012, 0.737]],
  "final_energy_ev_per_cell": -307.43,
  "polymorph_energy_kj_per_mol_fu": 936.0,
  "ef_kj_per_mol_atoms": -125,
  "magmom_total_mub_per_fu": 2.00
}